# GGA+U Ba2MgFe2CuF14, relaxed
# Formation energy: -3.152 eV/atom
# E: -5.2669 eV per atom
# Total magnetization: 11.01 μB per formula unit
data_Ba2MgFe2CuF14
_cell_length_a 14.183
_cell_length_b 5.279
_cell_length_c 14.781
_cell_angle_alpha 90.00
_cell_angle_beta 91.93
_cell_angle_gamma 90.00
_space_group_name_H-M_alt 'C 1 2/c 1'
_space_group_IT_number 15
_space_group_name_Hall '-C 2yc'
loop_
_atom_site_label
_atom_site_type_symbol
_atom_site_fract_x
_atom_site_fract_y
_atom_site_fract_z
_atom_site_occupancy
Ba1 Ba 0.187 0.078 0.124 1
Mg1 Mg 0.000 0.436 0.750 1
Fe1 Fe 0.119 0.022 0.373 1
Cu1 Cu 0.000 0.500 0.000 1
F1 F 0.005 0.106 0.662 1
F2 F 0.048 0.432 0.122 1
F3 F 0.078 0.199 0.485 1
F4 F 0.108 0.310 0.288 1
F5 F 0.141 0.268 0.955 1
F6 F 0.167 0.196 0.776 1
F7 F 0.247 0.103 0.400 1